Entry 1:
## CoNiSb (PBE)

Data for CoNiSb after structural relaxation.

Results
As for the uncorrected energy: -33.8 eV/cell. The value obtained for the energy relative to the elements is -0.03 eV/atom. The theoretical density is 9.48 g/cm3.

abc: 4.2433 4.2433 5.3802
angles: 90.00 90.00 120.00
Space group P6_3/mmc (No. 194)
Asymmetric unit:
Co  0.0000  0.0000  0.0000 x2
Ni  0.3333  0.6667  0.2500 x2
Sb  0.3333  0.6667  0.7500 x2

Entry 2:
## Y2TeO6 (PBE)

Data for Y2TeO6 after structural relaxation.

Results
As for the uncorrected energy: -136.2 eV/cell. The value obtained for the energy relative to the elements is -2.94 eV/atom. The theoretical density is 5.26 g/cm3.

abc: 5.005 5.005 10.114
angles: 90.00 90.00 90.00
Space group P4_2/mnm (No. 136)
Asymmetric unit:
Y  0.000  0.000  0.165 x4
Te  0.000  0.000  0.500 x2
O  0.183  0.183  0.354 x8
O  0.223  0.223  0.000 x4

Entry 3:
## LaNd3 (PBE)

Data for LaNd3 after structural relaxation.

Results
As for the uncorrected energy: -38.3 eV/cell. The value obtained for the energy relative to the elements is 0.02 eV/atom. The theoretical density is 6.54 g/cm3. The energy above the most stable polymorph in this dataset is 4 meV/atom.

abc: 5.239 5.239 10.567
angles: 90.00 90.00 90.00
Space group I4/mmm (No. 139)
Asymmetric unit:
La  0.000  0.000  0.000 x2
Nd  0.000  0.000  0.500 x2
Nd  0.000  0.500  0.250 x4

Entry 4:
## CeIr5 (PBE)

Data for CeIr5 after structural relaxation.

Results
As for the uncorrected energy: -202.8 eV/cell. The value obtained for the energy relative to the elements is -0.10 eV/atom. The theoretical density is 17.71 g/cm3.

abc: 7.447 7.447 7.447
angles: 90.00 90.00 90.00
Space group F-43m (No. 216)
Asymmetric unit:
Ce  0.000  0.000  0.000 x4
Ir  0.124  0.124  0.376 x16
Ir  0.250  0.250  0.750 x4

Entry 5:
## DyMg16Al12 (PBE)

Data for DyMg16Al12 after structural relaxation.

Results
As for the uncorrected energy: -231.1 eV/cell. The value obtained for the energy relative to the elements is -0.06 eV/atom. The theoretical density is 2.47 g/cm3.

abc: 15.2036 15.2036 8.8214
angles: 90.00 90.00 120.00
Space group R3m (No. 160, hexagonal axes)
Asymmetric unit:
Dy  0.0000  0.0000  0.0000 x3
Mg  0.0000  0.0000  0.6250 x3
Mg  0.0325  0.3599  0.9894 x18
Mg  0.1061  0.5530  0.1763 x9
Mg  0.1102  0.2204  0.1284 x9
Mg  0.1994  0.3987  0.7431 x9
Al  0.0012  0.1815  0.8115 x18
Al  0.1200  0.0600  0.3177 x9
Al  0.2118  0.4236  0.2263 x9

Entry 6:
## CdGeN2 (PBE)

Data for CdGeN2 after structural relaxation.

Results
As for the uncorrected energy: -348.9 eV/cell. The value obtained for the energy relative to the elements is -0.08 eV/atom. The theoretical density is 6.47 g/cm3.

abc: 5.526 11.079 14.292
angles: 90.00 90.00 90.00
Space group Pbca (No. 61)
Asymmetric unit:
Cd  0.206  0.241  0.189 x8
Cd  0.223  0.026  0.061 x8
Ge  0.187  0.523  0.813 x8
Ge  0.212  0.221  0.438 x8
N  0.126  0.727  0.046 x8
N  0.135  0.524  0.208 x8
N  0.189  0.692  0.832 x8
N  0.199  0.559  0.420 x8

Entry 7:
## Sr3EuRhO6 (PBE)

Data for Sr3EuRhO6 after structural relaxation.

Results
As for the uncorrected energy: -470.5 eV/cell. The value obtained for the energy relative to the elements is -2.74 eV/atom. The theoretical density is 6.20 g/cm3.

abc: 9.8898 9.8898 11.6446
angles: 90.00 90.00 120.00
Space group R-3c (No. 167, hexagonal axes)
Asymmetric unit:
Sr  0.0000  0.3688  0.2500 x18
Eu  0.0000  0.0000  0.2500 x6
Rh  0.0000  0.0000  0.0000 x6
O  0.0245  0.1821  0.3931 x36

Entry 8:
## Te2O5 (PBE)

Data for Te2O5 after structural relaxation.

Results
As for the uncorrected energy: -75.0 eV/cell. Its maximum piezoelectric response is 1.25 C/m2. The value obtained for the energy relative to the elements is -1.42 eV/atom. The theoretical density is 5.29 g/cm3.

abc: 5.513 4.797 8.159
angles: 90.00 102.84 90.00
Space group P2_1 (No. 4)
Asymmetric unit:
Te  0.130  0.000  0.373 x2
Te  0.256  0.606  0.010 x2
O  0.035  0.340  0.098 x2
O  0.120  0.657  0.488 x2
O  0.175  0.415  0.792 x2
O  0.327  0.786  0.222 x2
O  0.469  0.850  0.907 x2

Entry 9:
## Na2LuC2O6F (PBE)

Data for Na2LuC2O6F after structural relaxation.

Results
As for the uncorrected energy: -672.1 eV/cell. The value obtained for the energy relative to the elements is -2.61 eV/atom. The theoretical density is 3.99 g/cm3.

abc: 17.477 6.090 11.297
angles: 90.00 93.79 90.00
Space group C2/c (No. 15)
Asymmetric unit:
Na  0.111  0.095  0.382 x8
Na  0.241  0.092  0.141 x8
Lu  0.061  0.346  0.630 x8
C  0.062  0.203  0.116 x8
C  0.206  0.419  0.581 x8
O  0.007  0.318  0.063 x8
O  0.076  0.004  0.086 x8
O  0.103  0.301  0.200 x8
O  0.149  0.423  0.499 x8
O  0.194  0.309  0.677 x8
O  0.231  0.023  0.933 x8
F  0.058  0.263  0.819 x8

Entry 10:
## ScNiP (PBE)

Data for ScNiP after structural relaxation.

Results
As for the uncorrected energy: -84.5 eV/cell. The value obtained for the energy relative to the elements is -1.20 eV/atom. The theoretical density is 5.32 g/cm3.

abc: 6.337 3.737 7.094
angles: 90.00 90.00 90.00
Space group Pnma (No. 62)
Asymmetric unit:
Sc  0.021  0.250  0.184 x4
Ni  0.140  0.250  0.561 x4
P  0.234  0.750  0.381 x4

Entry 11:
## Al4Tc (PBE)

Data for Al4Tc after structural relaxation.

Results
As for the uncorrected energy: -163.2 eV/cell. The value obtained for the energy relative to the elements is -0.37 eV/atom. The theoretical density is 4.42 g/cm3.

abc: 5.201 17.603 5.170
angles: 90.00 101.23 90.00
Space group Cm (No. 8)
Asymmetric unit:
Al  0.000  0.000  0.000 x2
Al  0.013  0.423  0.175 x4
Al  0.035  0.125  0.304 x4
Al  0.037  0.267  0.086 x4
Al  0.170  0.380  0.707 x4
Al  0.346  0.000  0.640 x2
Al  0.372  0.249  0.565 x4
Tc  0.183  0.136  0.826 x4
Tc  0.339  0.500  0.486 x2

Entry 12:
## LiCuP2O6 (PBE)

Data for LiCuP2O6 after structural relaxation.

Results
As for the uncorrected energy: -260.5 eV/cell. The value obtained for the energy relative to the elements is -2.27 eV/atom. The theoretical density is 2.97 g/cm3. The energy above the most stable polymorph in this dataset is 41 meV/atom.

abc: 5.556 12.395 7.441
angles: 90.00 95.38 90.00
Space group P2_1/c (No. 14)
Asymmetric unit:
Li  0.111  0.123  0.332 x4
Cu  0.326  0.031  0.720 x4
P  0.180  0.623  0.839 x4
P  0.337  0.665  0.478 x4
O  0.063  0.136  0.589 x4
O  0.151  0.666  0.634 x4
O  0.199  0.616  0.313 x4
O  0.298  0.512  0.847 x4
O  0.369  0.706  0.943 x4
O  0.419  0.124  0.955 x4

Entry 13:
## Cs4Pr6OsI13 (PBE)

Data for Cs4Pr6OsI13 after structural relaxation.

Results
As for the uncorrected energy: -190.8 eV/cell. The value obtained for the energy relative to the elements is -1.54 eV/atom. The theoretical density is 4.76 g/cm3.

abc: 14.637 14.070 12.563
angles: 90.00 119.91 90.00
Space group C2/m (No. 12)
Asymmetric unit:
Cs  0.000  0.217  0.000 x4
Cs  0.176  0.000  0.782 x4
Pr  0.010  0.500  0.724 x4
Pr  0.159  0.356  0.585 x8
Os  0.000  0.500  0.500 x2
I  0.000  0.176  0.500 x4
I  0.000  0.500  0.000 x2
I  0.135  0.000  0.280 x4
I  0.166  0.334  0.330 x8
I  0.188  0.337  0.859 x8

Entry 14:
## Cs5Hg19 (PBE)

Data for Cs5Hg19 after structural relaxation.

Results
As for the uncorrected energy: -31.1 eV/cell. The value obtained for the energy relative to the elements is -0.22 eV/atom. The theoretical density is 8.44 g/cm3.

abc: 12.474 12.474 11.323
angles: 90.00 90.00 90.00
Space group I4/m (No. 87)
Asymmetric unit:
Cs  0.000  0.000  0.000 x2
Cs  0.119  0.676  0.500 x8
Hg  0.000  0.000  0.500 x2
Hg  0.000  0.500  0.250 x4
Hg  0.080  0.173  0.282 x16
Hg  0.114  0.703  0.140 x16